Density functional theory data (PBE) for a geometry-optimized Mn3Co20B6 structure.

Lattice parameters (Å, degrees): 7.3151 7.3151 7.3151 60.00 60.00 60.00
Atoms (fractional coordinates):
1 Mn 0.0000 0.0000 0.0000
2 Mn 0.2500 0.2500 0.2500
3 Mn 0.7500 0.7500 0.7500
4 Co 0.0000 0.0000 0.3361
5 Co 0.0000 0.0000 0.6639
6 Co 0.0000 0.3361 0.0000
7 Co 0.0000 0.3361 0.6639
8 Co 0.0000 0.6639 0.0000
9 Co 0.0000 0.6639 0.3361
10 Co 0.1374 0.6209 0.6209
11 Co 0.3361 0.0000 0.0000
12 Co 0.3361 0.0000 0.6639
13 Co 0.3361 0.6639 0.0000
14 Co 0.3791 0.3791 0.3791
15 Co 0.3791 0.3791 0.8626
16 Co 0.3791 0.8626 0.3791
17 Co 0.6209 0.1374 0.6209
18 Co 0.6209 0.6209 0.1374
19 Co 0.6209 0.6209 0.6209
20 Co 0.6639 0.0000 0.0000
21 Co 0.6639 0.0000 0.3361
22 Co 0.6639 0.3361 0.0000
23 Co 0.8626 0.3791 0.3791
24 B 0.2760 0.2760 0.7240
25 B 0.2760 0.7240 0.2760
26 B 0.2760 0.7240 0.7240
27 B 0.7240 0.2760 0.2760
28 B 0.7240 0.2760 0.7240
29 B 0.7240 0.7240 0.2760

Properties
Calculated total energy = -7.39 eV per atom
ρ = 8449 kg/m3